a:
# Rb3Nd

Rb3Nd after structural relaxation (PBE-GGA, Materials Project).

M_tot	2.498	μB per formula unit
calculated volume	69.0	Å³/atom
space-group type	Fm-3m, No. 225

Cell: 7.3075 7.3075 7.3075 Å, 60.00 60.00 60.00°
Positions (direct):
Rb  0.2500  0.2500  0.2500
Rb  0.7500  0.7500  0.7500
Rb  0.5000  0.5000  0.5000
Nd  0.0000  0.0000  0.0000

---

b:
# Rb3Nd

Rb3Nd after structural relaxation (PBE-GGA, Materials Project).

M_tot	0.685	μB per formula unit
calculated volume	66.1	Å³/atom
space-group type	I4/mmm, No. 139

Cell: 8.2385 8.2385 8.2385 Å, 136.18 136.18 63.71°
Positions (direct):
Rb  0.5000  0.5000  0.0000
Rb  0.7500  0.2500  0.5000
Rb  0.2500  0.7500  0.5000
Nd  0.0000  0.0000  0.0000

---

Least stable: a

---

a:
# NdSi2Rh3

NdSi2Rh3 after structural relaxation (PBE-GGA, Materials Project).

M_tot	0.000	μB per formula unit
calculated volume	16.7	Å³/atom
space-group type	P6/mmm, No. 191

Cell: 5.5978 5.5978 3.6871 Å, 90.00 90.00 120.00°
Positions (direct):
Nd  0.0000  0.0000  0.0000
Si  0.6667  0.3333  0.0000
Si  0.3333  0.6667  0.0000
Rh  0.5000  0.0000  0.5000
Rh  0.0000  0.5000  0.5000
Rh  0.5000  0.5000  0.5000

---

b:
# NdSi2Rh3

NdSi2Rh3 after structural relaxation (PBE-GGA, Materials Project).

calculated volume	16.5	Å³/atom
space-group type	Imma, No. 74

Cell: 5.6242 6.6908 6.6908 Å, 64.95 65.15 65.15°
Positions (direct):
Nd  0.5394  0.7500  0.7500
Nd  0.4606  0.2500  0.2500
Si  0.2236  0.5785  0.5785
Si  0.7764  0.4215  0.4215
Si  0.1194  0.0785  0.0785
Si  0.8806  0.9215  0.9215
Rh  0.5000  0.2163  0.7837
Rh  0.0000  0.7163  0.2837
Rh  0.5000  0.7837  0.2163
Rh  0.0000  0.2837  0.7163
Rh  0.0000  0.5000  0.0000
Rh  0.0000  0.0000  0.5000

---

Least stable: a

---

a:
# Nd2SiS5

Nd2SiS5 after structural relaxation (PBE-GGA, Materials Project).

M_tot	0.001	μB per formula unit
calculated volume	27.0	Å³/atom
space-group type	P2_1/c, No. 14

Cell: 8.2126 8.6604 12.1747 Å, 92.78 90.00 90.00°
Positions (direct):
Nd  0.4271  0.5048  0.6610
Nd  0.9271  0.4952  0.8390
Nd  0.5729  0.4952  0.3390
Nd  0.0729  0.5048  0.1610
Nd  0.4256  0.7440  0.0075
Nd  0.9256  0.2560  0.4925
Nd  0.5744  0.2560  0.9925
Nd  0.0744  0.7440  0.5075
Si  0.2161  0.0401  0.2155
Si  0.7161  0.9599  0.2845
Si  0.7839  0.9599  0.7845
Si  0.2839  0.0401  0.7155
S  0.5913  0.5261  0.8677
S  0.0913  0.4739  0.6323
S  0.4087  0.4739  0.1323
S  0.9087  0.5261  0.3677
S  0.7989  0.9464  0.4434
S  0.2989  0.0536  0.0566
S  0.2011  0.0536  0.5566
S  0.7011  0.9464  0.9434
S  0.6693  0.7590  0.1930
S  0.1693  0.2410  0.3070
S  0.3307  0.2410  0.8070
S  0.8307  0.7590  0.6930
S  0.0995  0.6797  0.9797
S  0.5995  0.3203  0.5203
S  0.9005  0.3203  0.0203
S  0.4005  0.6797  0.4797
S  0.3300  0.8270  0.7715
S  0.8300  0.1730  0.7285
S  0.6700  0.1730  0.2285
S  0.1700  0.8270  0.2715

---

b:
# Nd2SiS5

Nd2SiS5 after structural relaxation (PBE-GGA, Materials Project).

calculated volume	22.8	Å³/atom
space-group type	P2_1/c, No. 14

Cell: 12.5323 7.5849 7.8285 Å, 78.71 90.00 90.00°
Positions (direct):
Nd  0.8353  0.8401  0.6327
Nd  0.1647  0.1599  0.3673
Nd  0.3353  0.1599  0.8673
Nd  0.6647  0.8401  0.1327
Nd  0.4061  0.7603  0.5420
Nd  0.5939  0.2397  0.4580
Nd  0.9061  0.2397  0.9580
Nd  0.0939  0.7603  0.0420
Si  0.1166  0.6653  0.5931
Si  0.8834  0.3347  0.4069
Si  0.6166  0.3347  0.9069
Si  0.3834  0.6653  0.0931
S  0.4717  0.8266  0.8852
S  0.5283  0.1734  0.1148
S  0.9717  0.1734  0.6148
S  0.0283  0.8266  0.3852
S  0.2042  0.8680  0.6943
S  0.7958  0.1320  0.3057
S  0.7042  0.1320  0.8057
S  0.2958  0.8680  0.1943
S  0.2292  0.4715  0.5478
S  0.7708  0.5285  0.4522
S  0.7292  0.5285  0.9522
S  0.2708  0.4715  0.0478
S  0.8786  0.8638  0.9987
S  0.1214  0.1362  0.0013
S  0.3786  0.1362  0.5013
S  0.6214  0.8638  0.4987
S  0.4956  0.4213  0.7194
S  0.5044  0.5787  0.2806
S  0.9956  0.5787  0.7806
S  0.0044  0.4213  0.2194

---

Least stable: a

---

a:
# Nd10Se19

Nd10Se19 after structural relaxation (PBE-GGA, Materials Project).

calculated volume	25.7	Å³/atom
space-group type	P4_2/n, No. 86

Cell: 9.3381 9.3381 17.0702 Å, 90.00 90.00 90.00°
Positions (direct):
Nd  0.0000  0.5000  0.8667
Nd  0.0000  0.5000  0.3667
Nd  0.5000  0.0000  0.6333
Nd  0.5000  0.0000  0.1333
Nd  0.3033  0.3979  0.6439
Nd  0.1021  0.8033  0.1439
Nd  0.8979  0.1967  0.1439
Nd  0.6967  0.6021  0.6439
Nd  0.1967  0.1021  0.8561
Nd  0.3979  0.6967  0.3561
Nd  0.6021  0.3033  0.3561
Nd  0.8033  0.8979  0.8561
Nd  0.2065  0.0972  0.3696
Nd  0.4028  0.7065  0.8696
Nd  0.5972  0.2935  0.8696
Nd  0.7935  0.9028  0.3696
Nd  0.2935  0.4028  0.1304
Nd  0.0972  0.7935  0.6304
Nd  0.9028  0.2065  0.6304
Nd  0.7065  0.5972  0.1304
Se  0.5000  0.0000  0.8143
Se  0.5000  0.0000  0.3143
Se  0.0000  0.5000  0.6857
Se  0.0000  0.5000  0.1857
Se  0.6006  0.3023  0.6868
Se  0.1977  0.1006  0.1868
Se  0.8023  0.8994  0.1868
Se  0.3994  0.6977  0.6868
Se  0.8994  0.1977  0.8132
Se  0.3023  0.3994  0.3132
Se  0.6977  0.6006  0.3132
Se  0.1006  0.8023  0.8132
Se  0.2011  0.0977  0.6792
Se  0.4023  0.7011  0.1792
Se  0.5977  0.2989  0.1792
Se  0.7989  0.9023  0.6792
Se  0.2989  0.4023  0.8208
Se  0.0977  0.7989  0.3208
Se  0.9023  0.2011  0.3208
Se  0.7011  0.5977  0.8208
Se  0.6315  0.8152  0.9993
Se  0.6848  0.1315  0.4993
Se  0.3152  0.8685  0.4993
Se  0.3685  0.1848  0.9993
Se  0.8685  0.6848  0.5007
Se  0.8152  0.3685  0.0007
Se  0.1848  0.6315  0.0007
Se  0.1315  0.3152  0.5007
Se  0.7203  0.0770  0.0002
Se  0.4230  0.2203  0.5002
Se  0.5770  0.7797  0.5002
Se  0.2797  0.9230  0.0002
Se  0.7797  0.4230  0.4998
Se  0.0770  0.2797  0.9998
Se  0.9230  0.7203  0.9998
Se  0.2203  0.5770  0.4998
Se  0.5000  0.5000  0.0000
Se  0.0000  0.0000  0.5000

---

b:
# Nd10Se19

Nd10Se19 after structural relaxation (PBE-GGA, Materials Project).

M_tot	0.001	μB per formula unit
calculated volume	25.6	Å³/atom
space-group type	P-1, No. 2

Cell: 8.3498 9.5132 18.7294 Å, 88.78 89.98 89.99°
Positions (direct):
Nd  0.8690  0.3249  0.8944
Nd  0.8783  0.1281  0.0933
Nd  0.8800  0.9258  0.2959
Nd  0.8689  0.7294  0.4935
Nd  0.1311  0.2706  0.5065
Nd  0.1200  0.0742  0.7041
Nd  0.1217  0.8719  0.9067
Nd  0.1310  0.6751  0.1056
Nd  0.1302  0.4717  0.3055
Nd  0.3856  0.1429  0.0961
Nd  0.3687  0.3365  0.8910
Nd  0.3868  0.9405  0.2995
Nd  0.3685  0.7297  0.5004
Nd  0.3788  0.5372  0.6966
Nd  0.6315  0.2703  0.4996
Nd  0.6132  0.0595  0.7005
Nd  0.6144  0.8571  0.9039
Nd  0.6313  0.6635  0.1090
Nd  0.6212  0.4628  0.3034
Nd  0.8698  0.5283  0.6945
Se  0.8751  0.8496  0.6491
Se  0.8761  0.6469  0.8510
Se  0.8982  0.4464  0.0554
Se  0.8690  0.2441  0.6219
Se  0.8748  0.0373  0.8216
Se  0.8986  0.0559  0.4455
Se  0.8798  0.6387  0.2260
Se  0.8802  0.4452  0.4208
Se  0.1239  0.3531  0.1490
Se  0.1278  0.1589  0.9758
Se  0.1018  0.5536  0.9446
Se  0.1252  0.9627  0.1784
Se  0.1249  0.1504  0.3509
Se  0.1310  0.7559  0.3781
Se  0.1198  0.5548  0.5792
Se  0.1014  0.9441  0.5545
Se  0.1202  0.3613  0.7740
Se  0.3403  0.6587  0.8424
Se  0.3746  0.2473  0.6234
Se  0.3380  0.8426  0.6580
Se  0.3875  0.4600  0.0398
Se  0.3691  0.0427  0.8223
Se  0.3593  0.2524  0.2503
Se  0.3749  0.8490  0.0260
Se  0.3883  0.0398  0.4596
Se  0.3766  0.6493  0.2245
Se  0.3757  0.4441  0.4245
Se  0.6407  0.7476  0.7497
Se  0.6251  0.1510  0.9740
Se  0.6125  0.5400  0.9602
Se  0.6309  0.9573  0.1777
Se  0.6597  0.3413  0.1576
Se  0.6620  0.1574  0.3420
Se  0.6117  0.9602  0.5404
Se  0.6254  0.7527  0.3766
Se  0.6243  0.5559  0.5755
Se  0.6234  0.3507  0.7755
Se  0.8722  0.8411  0.0242

---

Least stable: b